A plane-wave DFT calculation with PBE-GGA was carried out for crystalline Na14Sc4Si9Sn4S3O48 at its relaxed geometry.

Unit cell a=18.3117 b=9.1527 c=22.6102 alpha=89.99 beta=89.67 gamma=119.98
With the nearest neighbours (Å) after each atom.
Positions (direct):
1 Na 0.8185 0.0068 0.2543  5 O 2.45-2.67
2 Na 0.1774 0.3589 0.2532  7 O 2.49-2.78
3 Na 0.6916 0.3710 0.2541  6 O 2.43-2.69
4 Na 0.9978 0.6308 0.2462  5 O 2.47-2.58
5 Na 0.5027 0.6480 0.2498  3 O 2.35-2.61
6 Na 0.3181 0.6290 0.7509  4 O 2.45-2.69
7 Na 0.0007 0.3563 0.7433  5 O 2.38-2.64
8 Na 0.4996 0.3669 0.7428  5 O 2.47-2.55
9 Na 0.1899 0.0115 0.7499  5 O 2.45-2.65
10 Na 0.6804 0.9982 0.7478  5 O 2.44-2.69
11 Na 0.1462 0.3234 0.5820  6 O 2.45-2.70
12 Na 0.6534 0.3350 0.5832  6 O 2.46-2.74
13 Na 0.3352 0.9843 0.5862  4 O 2.41-2.68
14 Na 0.8328 0.9679 0.5830  6 O 2.51-2.70
15 Na 0.1452 0.9659 0.0809  6 O 2.40-2.63
16 Na 0.6497 0.9721 0.0811  6 O 2.47-2.68
17 Na 0.3326 0.6876 0.0824  6 O 2.44-2.67
18 Na 0.8351 0.6870 0.0865  5 O 2.44-2.71
19 Na 0.4811 0.6789 0.9155  5 O 2.47-2.66
20 Na 0.9812 0.6776 0.9224  5 O 2.47-2.65
21 Na 0.3456 0.0231 0.9083  5 O 2.42-2.66
22 Na 0.8450 0.0233 0.9109  5 O 2.40-2.64
23 Na 0.1707 0.2941 0.9103  5 O 2.47-2.60
24 Na 0.6692 0.2915 0.9103  5 O 2.44-2.57
25 Na 0.4837 0.2902 0.4261  5 O 2.46-2.63
26 Na 0.9786 0.2817 0.4204  6 O 2.41-2.67
27 Na 0.1685 0.0472 0.4137  6 O 2.43-2.71
28 Na 0.6744 0.0506 0.4164  5 O 2.46-2.65
29 Na 0.3457 0.6668 0.4140  4 O 2.39-2.64
30 Na 0.8456 0.6665 0.4193  5 O 2.44-2.68
31 Na 0.9974 0.9975 0.5017  6 O 2.50-2.73
32 Na 0.5054 0.0129 0.5026  5 O 2.43-2.69
33 Na 0.0025 0.9945 0.0006  6 O 2.45-2.71
34 Na 0.5036 0.9964 0.9972  5 O 2.41-2.65
35 Na 0.3295 0.3339 0.8268  5 O 2.47-2.68
36 Na 0.8233 0.3298 0.8300  5 O 2.37-2.64
37 Na 0.3233 0.3161 0.3351  5 O 2.47-2.75
38 Na 0.8289 0.3235 0.3325  6 O 2.52-2.75
39 Na 0.1592 0.6538 0.1690  5 O 2.44-2.56
40 Na 0.6653 0.6622 0.1688  6 O 2.49-2.67
41 Na 0.1626 0.6666 0.6667  6 O 2.47-2.66
42 Na 0.6663 0.6657 0.6651  6 O 2.50-2.61
43 Sc 0.0003 0.0099 0.3496  5 O 1.96-2.16
44 Sc 0.5013 0.0012 0.3517  6 O 2.00-2.23
45 Sc 0.9997 0.0000 0.8494  5 O 1.99-2.18
46 Sc 0.5010 0.9921 0.8484  5 O 1.96-2.20
47 Sc 0.3359 0.3238 0.6857  5 O 2.00-2.16
48 Sc 0.8359 0.3475 0.1867  5 O 2.03-2.14
49 Sc 0.3272 0.3390 0.9818  4 O 1.98-2.11
50 Sc 0.8262 0.3407 0.9838  4 O 1.99-2.13
51 Sc 0.3275 0.3132 0.4839  4 O 1.97-2.16
52 Sc 0.8284 0.3285 0.4856  5 O 2.00-2.17
53 Sc 0.6774 0.6801 0.3157  4 O 1.95-2.11
54 Sc 0.1761 0.6738 0.8136  4 O 1.97-2.10
55 Si 0.1511 0.0012 0.2504  4 O 1.62-1.68
56 Si 0.6480 0.9967 0.2505  4 O 1.62-1.67
57 Si 0.3553 0.7101 0.2493  4 O 1.62-1.68
58 Si 0.8546 0.7109 0.2499  4 O 1.62-1.67
59 Si 0.0001 0.2958 0.2510  4 O 1.62-1.66
60 Si 0.1457 0.2943 0.7496  4 O 1.63-1.65
61 Si 0.6510 0.3000 0.7518  4 O 1.63-1.65
62 Si 0.4999 0.7041 0.7515  4 O 1.63-1.66
63 Si 0.3547 0.9987 0.7503  4 O 1.63-1.66
64 Si 0.8555 0.0071 0.7496  4 O 1.63-1.67
65 Si 0.4814 0.3328 0.5830  4 O 1.62-1.69
66 Si 0.9814 0.3407 0.5830  4 O 1.62-1.67
67 Si 0.1837 0.0321 0.5847  4 O 1.63-1.66
68 Si 0.6811 0.0294 0.5827  4 O 1.63-1.66
69 Si 0.8369 0.6278 0.5823  4 O 1.62-1.67
70 Si 0.4811 0.6232 0.0831  4 O 1.62-1.68
71 Si 0.9821 0.6298 0.0830  4 O 1.61-1.69
72 Si 0.1812 0.3332 0.0828  4 O 1.63-1.66
73 Si 0.6814 0.3330 0.0851  4 O 1.62-1.67
74 Si 0.3146 0.6705 0.9184  4 O 1.63-1.67
75 Si 0.8119 0.6670 0.9175  4 O 1.63-1.66
76 Si 0.1666 0.9605 0.9163  4 O 1.63-1.67
77 Si 0.6677 0.9600 0.9178  4 O 1.64-1.67
78 Si 0.3120 0.9574 0.4170  4 O 1.64-1.66
79 Si 0.8158 0.9644 0.4176  4 O 1.64-1.65
80 Si 0.1678 0.3755 0.4171  4 O 1.63-1.66
81 Si 0.6662 0.3717 0.4152  4 O 1.64-1.66
82 Sn 0.9979 0.0030 0.6452  6 O 2.01-2.24
83 Sn 0.5064 0.0099 0.6520  5 O 2.02-2.12
84 Sn 0.0057 0.0033 0.1524  5 O 2.02-2.14
85 Sn 0.5026 0.9915 0.1492  5 O 1.98-2.19
86 Sn 0.8288 0.3238 0.6806  5 O 1.99-2.11
87 Sn 0.3308 0.3438 0.1838  5 O 2.02-2.20
88 Sn 0.1627 0.6623 0.0182  5 O 2.02-2.13
89 Sn 0.6647 0.6636 0.0192  5 O 2.01-2.13
90 Sn 0.1643 0.6662 0.5192  5 O 2.01-2.13
91 Sn 0.6700 0.6615 0.5221  6 O 2.03-2.27
92 Sn 0.1747 0.6739 0.3108  5 O 2.00-2.09
93 Sn 0.6755 0.6775 0.8099  5 O 2.01-2.08
94 S 0.4969 0.2896 0.2492  4 O 1.48-1.50
95 S 0.9983 0.7042 0.7507  4 O 1.48-1.49
96 S 0.3348 0.6280 0.5827  4 O 1.47-1.52
97 S 0.3358 0.0449 0.0835  4 O 1.47-1.51
98 S 0.8349 0.0415 0.0828  4 O 1.47-1.52
99 S 0.0195 0.3727 0.9160  4 O 1.47-1.50
100 S 0.5202 0.3739 0.9168  4 O 1.48-1.50
101 S 0.0212 0.6667 0.4150  4 O 1.47-1.50
102 S 0.5208 0.6660 0.4163  4 O 1.48-1.50
103 O 0.1113 0.0435 0.3078  1 Si 1.62
104 O 0.6028 0.0323 0.3068  1 Si 1.63
105 O 0.4138 0.7947 0.3067  1 Si 1.62
106 O 0.9148 0.7986 0.3066  1 Si 1.62
107 O 0.4853 0.1896 0.3032  1 S 1.48
108 O 0.9838 0.1825 0.3101  1 Si 1.63
109 O 0.1037 0.1756 0.8087  1 Si 1.65
110 O 0.6087 0.1807 0.8100  1 Si 1.63
111 O 0.4830 0.7823 0.8117  1 Si 1.64
112 O 0.9873 0.7818 0.8054  1 S 1.49
113 O 0.4122 0.0282 0.8088  1 Si 1.63
114 O 0.9116 0.0358 0.8090  1 Si 1.64
115 O 0.3959 0.9600 0.6909  1 Si 1.66
116 O 0.8970 0.9754 0.6906  1 Si 1.63
117 O 0.0854 0.2051 0.6915  1 Si 1.65
118 O 0.5926 0.2241 0.6920  1 Si 1.65
119 O 0.0134 0.8134 0.6983  1 S 1.48
120 O 0.5227 0.8357 0.6957  1 Si 1.64
121 O 0.3947 0.8223 0.1880  1 Si 1.66
122 O 0.8949 0.8300 0.1894  1 Si 1.67
123 O 0.0244 0.2132 0.1944  1 Si 1.65
124 O 0.5108 0.2093 0.1959  1 S 1.50
125 O 0.0948 0.9641 0.1895  1 Si 1.66
126 O 0.5889 0.9591 0.1903  1 Si 1.67
127 O 0.4382 0.3559 0.6423  1 Si 1.62
128 O 0.9411 0.3681 0.6446  1 Si 1.65
129 O 0.2436 0.1167 0.6419  1 Si 1.63
130 O 0.7404 0.1065 0.6424  1 Si 1.66
131 O 0.3230 0.5252 0.6358  1 S 1.47
132 O 0.8161 0.5016 0.6394  1 Si 1.64
133 O 0.4402 0.5100 0.1440  1 Si 1.66
134 O 0.9396 0.5204 0.1421  1 Si 1.61
135 O 0.3226 0.1261 0.1365  1 S 1.49
136 O 0.8231 0.1205 0.1356  1 S 1.47
137 O 0.2428 0.3747 0.1413  1 Si 1.66
138 O 0.7406 0.3647 0.1421  1 Si 1.62
139 O 0.2245 0.2966 0.0257  1 Si 1.63
140 O 0.7207 0.2929 0.0258  1 Si 1.64
141 O 0.4222 0.5343 0.0262  1 Si 1.62
142 O 0.9251 0.5435 0.0239  1 Si 1.64
143 O 0.3460 0.1416 0.0292  1 S 1.47
144 O 0.8432 0.1381 0.0282  1 S 1.48
145 O 0.2238 0.1490 0.5251  1 Si 1.64
146 O 0.7233 0.1524 0.5255  1 Si 1.63
147 O 0.3433 0.5481 0.5283  1 S 1.48
148 O 0.8491 0.5491 0.5214  1 Si 1.62
149 O 0.4230 0.3018 0.5243  1 Si 1.64
150 O 0.9240 0.3110 0.5253  1 Si 1.62
151 O 0.2696 0.7001 0.9781  1 Si 1.67
152 O 0.7718 0.7041 0.9780  1 Si 1.66
153 O 0.0734 0.4481 0.9696  1 S 1.50
154 O 0.5742 0.4517 0.9701  1 S 1.50
155 O 0.1480 0.8407 0.9766  1 Si 1.67
156 O 0.6480 0.8384 0.9774  1 Si 1.67
157 O 0.2710 0.8381 0.4768  1 Si 1.66
158 O 0.7692 0.8412 0.4754  1 Si 1.65
159 O 0.1490 0.4607 0.4759  1 Si 1.66
160 O 0.6454 0.4545 0.4737  1 Si 1.66
161 O 0.0753 0.6974 0.4682  1 S 1.50
162 O 0.5748 0.6942 0.4684  1 S 1.48
163 O 0.0604 0.6396 0.3613  1 S 1.49
164 O 0.5574 0.6389 0.3617  1 S 1.48
165 O 0.2464 0.8730 0.3618  1 Si 1.64
166 O 0.7561 0.8812 0.3591  1 Si 1.65
167 O 0.1842 0.4950 0.3580  1 Si 1.66
168 O 0.6759 0.4843 0.3563  1 Si 1.64
169 O 0.0580 0.4777 0.8633  1 S 1.47
170 O 0.5575 0.4801 0.8635  1 S 1.48
171 O 0.1784 0.8669 0.8589  1 Si 1.63
172 O 0.6834 0.8697 0.8601  1 Si 1.64
173 O 0.2535 0.6314 0.8613  1 Si 1.63
174 O 0.7452 0.6201 0.8632  1 Si 1.63
175 O 0.0138 0.8201 0.4107  1 S 1.48
176 O 0.5122 0.8200 0.4122  1 S 1.50
177 O 0.4045 0.9716 0.4107  1 Si 1.64
178 O 0.9074 0.9721 0.4145  1 Si 1.64
179 O 0.0854 0.1865 0.4142  1 Si 1.63
180 O 0.5815 0.1814 0.4128  1 Si 1.66
181 O 0.0115 0.2028 0.9121  1 S 1.49
182 O 0.5127 0.2056 0.9126  1 S 1.48
183 O 0.0828 0.9830 0.9139  1 Si 1.65
184 O 0.5851 0.9839 0.9150  1 Si 1.64
185 O 0.4065 0.8430 0.9163  1 Si 1.63
186 O 0.9048 0.8368 0.9113  1 Si 1.64
187 O 0.4867 0.1545 0.5873  1 Si 1.69
188 O 0.9906 0.1689 0.5860  1 Si 1.66
189 O 0.0912 0.0188 0.5903  1 Si 1.64
190 O 0.5893 0.0215 0.5883  1 Si 1.65
191 O 0.4084 0.8015 0.5859  1 S 1.49
192 O 0.9173 0.8202 0.5888  1 Si 1.64
193 O 0.4855 0.8110 0.0863  1 Si 1.68
194 O 0.9888 0.8202 0.0867  1 Si 1.69
195 O 0.4103 0.0217 0.0888  1 S 1.49
196 O 0.9086 0.0150 0.0855  1 S 1.49
197 O 0.0895 0.1598 0.0881  1 Si 1.64
198 O 0.5860 0.1612 0.0901  1 Si 1.67
199 O 0.3443 0.1660 0.7468  1 Si 1.64
200 O 0.8499 0.1836 0.7455  1 Si 1.67
201 O 0.2402 0.3200 0.7433  1 Si 1.63
202 O 0.7431 0.3091 0.7452  1 Si 1.65
203 O 0.4158 0.5202 0.7441  1 Si 1.63
204 O 0.9231 0.5337 0.7463  1 S 1.48
205 O 0.3510 0.5227 0.2459  1 Si 1.68
206 O 0.8443 0.5229 0.2457  1 Si 1.64
207 O 0.4206 0.3078 0.2437  1 S 1.49
208 O 0.9162 0.3116 0.2431  1 Si 1.62
209 O 0.2457 0.1747 0.2421  1 Si 1.68
210 O 0.7415 0.1606 0.2433  1 Si 1.62
211 O 0.3255 0.5024 0.9223  1 Si 1.65
212 O 0.8235 0.4998 0.9214  1 Si 1.65
213 O 0.4353 0.3544 0.9245  1 S 1.48
214 O 0.9346 0.3533 0.9239  1 S 1.48
215 O 0.2546 0.1432 0.9220  1 Si 1.65
216 O 0.7555 0.1430 0.9226  1 Si 1.65
217 O 0.3238 0.1478 0.4204  1 Si 1.65
218 O 0.8270 0.1534 0.4214  1 Si 1.64
219 O 0.2557 0.3683 0.4216  1 Si 1.65
220 O 0.7527 0.3607 0.4189  1 Si 1.64
221 O 0.4350 0.5160 0.4232  1 S 1.49
222 O 0.9376 0.5145 0.4208  1 S 1.47
223 O 0.1791 0.5113 0.0776  1 Si 1.65
224 O 0.6786 0.5112 0.0784  1 Si 1.66
225 O 0.0808 0.6646 0.0792  1 Si 1.67
226 O 0.5794 0.6611 0.0805  1 Si 1.65
227 O 0.2578 0.8733 0.0815  1 S 1.51
228 O 0.7555 0.8686 0.0804  1 S 1.52
229 O 0.1809 0.8483 0.5781  1 Si 1.66
230 O 0.6760 0.8464 0.5767  1 Si 1.64
231 O 0.2554 0.6415 0.5803  1 S 1.52
232 O 0.7505 0.6449 0.5812  1 Si 1.67
233 O 0.0801 0.5026 0.5804  1 Si 1.67
234 O 0.5777 0.4941 0.5784  1 Si 1.64
235 O 0.1528 0.8239 0.2550  1 Si 1.64
236 O 0.6502 0.8202 0.2546  1 Si 1.64
237 O 0.2584 0.6737 0.2506  1 Si 1.63
238 O 0.7596 0.6891 0.2521  1 Si 1.65
239 O 0.0849 0.4863 0.2561  1 Si 1.66
240 O 0.5725 0.4602 0.2530  1 S 1.48
241 O 0.1490 0.4771 0.7543  1 Si 1.65
242 O 0.6522 0.4807 0.7566  1 Si 1.65
243 O 0.0749 0.6865 0.7554  1 S 1.49
244 O 0.5847 0.6837 0.7570  1 Si 1.66
245 O 0.2598 0.8298 0.7524  1 Si 1.65
246 O 0.7587 0.8472 0.7516  1 Si 1.64

## Properties
- Uncorrected energy: -1639.0 eV per cell

A plane-wave DFT calculation with PBE-GGA was carried out for crystalline Na8Sc2Si5Sn2SO24 at its relaxed geometry.

Unit cell a=9.1757 b=9.1610 c=22.6667 alpha=90.24 beta=89.45 gamma=120.10
With the nearest neighbours (Å) after each atom.
Positions (direct):
1 Na 0.6392 0.0010 0.2522  5 O 2.48-2.67
2 Na 0.3606 0.3618 0.2476  5 O 2.48-2.67
3 Na 0.0000 0.6371 0.2499  6 O 2.52-2.74
4 Na 0.6368 0.6359 0.7474  5 O 2.48-2.66
5 Na 0.9981 0.3639 0.7498  6 O 2.50-2.72
6 Na 0.3659 0.0022 0.7498  6 O 2.49-2.74
7 Na 0.3005 0.3370 0.5857  5 O 2.45-2.64
8 Na 0.0365 0.7001 0.5832  6 O 2.49-2.70
9 Na 0.6649 0.9629 0.5832  6 O 2.49-2.73
10 Na 0.2884 0.9651 0.0817  6 O 2.48-2.71
11 Na 0.6682 0.6914 0.0864  5 O 2.42-2.65
12 Na 0.0434 0.3387 0.0856  6 O 2.49-2.75
13 Na 0.9757 0.6677 0.9163  5 O 2.43-2.71
14 Na 0.7024 0.0428 0.9116  5 O 2.47-2.59
15 Na 0.3230 0.2872 0.9179  6 O 2.48-2.74
16 Na 0.9605 0.2966 0.4141  6 O 2.46-2.72
17 Na 0.3293 0.0225 0.4162  5 O 2.44-2.70
18 Na 0.7106 0.6783 0.4179  6 O 2.49-2.69
19 Na 0.9931 0.9920 0.5009  6 O 2.50-2.74
20 Na 0.0153 0.0056 0.9999  6 O 2.48-2.76
21 Na 0.6677 0.3267 0.8320  6 O 2.50-2.75
22 Na 0.6722 0.3322 0.3321  6 O 2.52-2.71
23 Na 0.3270 0.6585 0.1670  6 O 2.53-2.75
24 Na 0.3336 0.6666 0.6647  6 O 2.55-2.63
25 Sc 0.9921 0.9920 0.3478  5 O 1.98-2.16
26 Sc 0.0092 0.0073 0.8484  5 O 1.97-2.16
27 Sc 0.0090 0.0000 0.1522  5 O 1.98-2.14
28 Sc 0.6646 0.3339 0.9819  5 O 1.99-2.17
29 Sc 0.3122 0.6542 0.0181  4 O 1.95-2.13
30 Sc 0.3360 0.6791 0.5214  5 O 2.02-2.13
31 Si 0.2959 0.0030 0.2502  4 O 1.62-1.66
32 Si 0.7038 0.7074 0.2498  4 O 1.62-1.66
33 Si 0.9998 0.2935 0.2501  4 O 1.62-1.67
34 Si 0.2957 0.2954 0.7497  4 O 1.62-1.66
35 Si 0.9963 0.7071 0.7501  4 O 1.62-1.66
36 Si 0.7073 0.9997 0.7512  4 O 1.62-1.66
37 Si 0.9627 0.3317 0.5848  4 O 1.62-1.65
38 Si 0.3747 0.0450 0.5839  4 O 1.63-1.66
39 Si 0.6661 0.6250 0.5836  4 O 1.62-1.66
40 Si 0.9574 0.6280 0.0825  4 O 1.63-1.66
41 Si 0.3728 0.3342 0.0827  4 O 1.63-1.67
42 Si 0.0369 0.3689 0.9165  4 O 1.63-1.66
43 Si 0.3334 0.9604 0.9177  4 O 1.63-1.67
44 Si 0.6280 0.9614 0.4179  4 O 1.61-1.68
45 Si 0.0386 0.6670 0.4184  4 O 1.61-1.68
46 Sn 0.9994 0.9996 0.6490  6 O 2.04-2.12
47 Sn 0.6675 0.3336 0.6850  6 O 2.03-2.11
48 Sn 0.6693 0.3442 0.1863  5 O 2.00-2.10
49 Sn 0.6769 0.3316 0.4857  5 O 1.99-2.10
50 Sn 0.3295 0.6751 0.3141  6 O 2.02-2.26
51 Sn 0.3241 0.6700 0.8128  5 O 2.01-2.08
52 S 0.6670 0.0407 0.0829  4 O 1.48-1.50
53 S 0.6243 0.6671 0.9170  4 O 1.48-1.49
54 S 0.3341 0.3759 0.4175  4 O 1.45-1.50
55 O 0.2179 0.0424 0.3086  1 Si 1.62
56 O 0.8216 0.7853 0.3077  1 Si 1.63
57 O 0.9644 0.1783 0.3086  1 Si 1.63
58 O 0.2159 0.1777 0.8076  1 Si 1.62
59 O 0.9602 0.7866 0.8085  1 Si 1.62
60 O 0.8236 0.0346 0.8087  1 Si 1.62
61 O 0.7847 0.9590 0.6916  1 Si 1.65
62 O 0.1750 0.2172 0.6915  1 Si 1.64
63 O 0.0391 0.8270 0.6913  1 Si 1.65
64 O 0.7817 0.8243 0.1915  1 Si 1.62
65 O 0.0355 0.2138 0.1913  1 Si 1.62
66 O 0.1784 0.9629 0.1924  1 Si 1.62
67 O 0.8791 0.3725 0.6420  1 Si 1.63
68 O 0.4952 0.1250 0.6415  1 Si 1.63
69 O 0.6291 0.5054 0.6417  1 Si 1.64
70 O 0.8784 0.5028 0.1411  1 Si 1.66
71 O 0.6345 0.1151 0.1368  1 S 1.50
72 O 0.4924 0.3678 0.1417  1 Si 1.67
73 O 0.4601 0.2990 0.0257  1 Si 1.63
74 O 0.8390 0.5378 0.0255  1 Si 1.63
75 O 0.6951 0.1479 0.0307  1 S 1.48
76 O 0.4538 0.1650 0.5242  1 Si 1.66
77 O 0.7049 0.5440 0.5238  1 Si 1.66
78 O 0.8439 0.2874 0.5256  1 Si 1.65
79 O 0.5455 0.6945 0.9699  1 S 1.48
80 O 0.1592 0.4543 0.9734  1 Si 1.63
81 O 0.3071 0.8420 0.9749  1 Si 1.63
82 O 0.5419 0.8393 0.4739  1 Si 1.61
83 O 0.3073 0.4531 0.4693  1 S 1.45
84 O 0.1570 0.6950 0.4743  1 Si 1.61
85 O 0.1164 0.6215 0.3589  1 Si 1.67
86 O 0.5084 0.8797 0.3585  1 Si 1.67
87 O 0.3653 0.4809 0.3630  1 S 1.50
88 O 0.1237 0.4925 0.8582  1 Si 1.66
89 O 0.3763 0.8791 0.8586  1 Si 1.67
90 O 0.5189 0.6361 0.8635  1 S 1.49
91 O 0.0239 0.8371 0.4119  1 Si 1.64
92 O 0.8174 0.9870 0.4118  1 Si 1.64
93 O 0.1824 0.2053 0.4114  1 S 1.49
94 O 0.0157 0.1806 0.9125  1 Si 1.64
95 O 0.1609 0.9713 0.9126  1 Si 1.64
96 O 0.7937 0.8187 0.9114  1 S 1.48
97 O 0.9753 0.1588 0.5893  1 Si 1.65
98 O 0.1872 0.0275 0.5884  1 Si 1.65
99 O 0.8391 0.8118 0.5882  1 Si 1.65
100 O 0.9714 0.8129 0.0878  1 Si 1.64
101 O 0.8197 0.0258 0.0882  1 S 1.48
102 O 0.1840 0.1670 0.0877  1 Si 1.64
103 O 0.6871 0.1683 0.7448  1 Si 1.65
104 O 0.4829 0.3128 0.7444  1 Si 1.65
105 O 0.8282 0.5176 0.7447  1 Si 1.65
106 O 0.6859 0.5183 0.2464  1 Si 1.66
107 O 0.8280 0.3105 0.2437  1 Si 1.67
108 O 0.4874 0.1694 0.2425  1 Si 1.66
109 O 0.6412 0.5144 0.9218  1 S 1.49
110 O 0.8531 0.3571 0.9221  1 Si 1.64
111 O 0.5028 0.1484 0.9213  1 Si 1.64
112 O 0.6374 0.1493 0.4218  1 Si 1.68
113 O 0.4881 0.3585 0.4212  1 S 1.50
114 O 0.8459 0.4944 0.4216  1 Si 1.68
115 O 0.3656 0.5099 0.0785  1 Si 1.65
116 O 0.1463 0.6479 0.0799  1 Si 1.65
117 O 0.5164 0.8708 0.0769  1 S 1.48
118 O 0.3567 0.8595 0.5791  1 Si 1.63
119 O 0.4984 0.6408 0.5777  1 Si 1.62
120 O 0.1474 0.4973 0.5774  1 Si 1.62
121 O 0.3136 0.8319 0.2539  1 Si 1.66
122 O 0.5127 0.6826 0.2580  1 Si 1.66
123 O 0.1723 0.4826 0.2565  1 Si 1.67
124 O 0.3170 0.4853 0.7571  1 Si 1.66
125 O 0.1675 0.6893 0.7531  1 Si 1.66
126 O 0.5191 0.8264 0.7563  1 Si 1.66

## Properties
- Uncorrected energy: -838.9 eV per cell